MgV12Zn6O24 | the Materials Project | GGA+U | relaxed; E above lowest polymorph = 0.010 eV/atom; SG = P1, No. 1; total moment = 26.00 μB/cell
1.0
6.057 0.000 0.000
-2.998 5.373 0.000
-0.073 -0.182 14.940
Mg V Zn O
1 12 6 24
direct
0.000 0.000 0.000
0.170 0.845 0.824
0.305 0.118 0.171
0.309 0.618 0.160
0.482 0.968 0.001
0.485 0.965 0.374
0.494 0.476 0.496
0.669 0.340 0.832
0.670 0.844 0.823
0.815 0.118 0.171
0.829 0.655 0.663
0.989 0.477 0.496
0.989 0.974 0.495
0.156 0.308 0.330
0.168 0.334 0.699
0.178 0.370 0.897
0.496 0.988 0.620
0.778 0.561 0.045
0.815 0.626 0.285
0.000 0.524 0.749
0.129 0.805 0.576
0.136 0.273 0.093
0.153 0.804 0.084
0.156 0.310 0.566
0.309 0.622 0.420
0.319 0.144 0.913
0.324 0.154 0.421
0.352 0.711 0.898
0.458 0.450 0.239
0.476 0.947 0.244
0.501 0.004 0.753
0.528 0.529 0.747
0.624 0.248 0.098
0.650 0.804 0.085
0.664 0.791 0.574
0.682 0.345 0.576
0.816 0.139 0.914
0.825 0.642 0.423
0.836 0.142 0.420
0.844 0.691 0.911
0.991 0.980 0.745
0.993 0.982 0.246
0.995 0.450 0.239

Li3Co2O5 | the Materials Project | GGA+U | relaxed; E above lowest polymorph = 0.044 eV/atom; SG = C2/m, No. 12; total moment = 2.00 μB/cell
1.0
6.291 -1.460 0.000
6.291 1.460 0.000
-1.727 0.000 9.604
Li Co O
6 4 10
direct
0.000 0.000 0.000
0.096 0.096 0.300
0.302 0.302 0.904
0.500 0.500 0.500
0.698 0.698 0.096
0.904 0.904 0.700
0.199 0.199 0.600
0.406 0.406 0.193
0.594 0.594 0.807
0.801 0.801 0.400
0.057 0.057 0.661
0.146 0.146 0.937
0.263 0.263 0.254
0.344 0.344 0.543
0.463 0.463 0.844
0.537 0.537 0.156
0.656 0.656 0.457
0.737 0.737 0.746
0.854 0.854 0.063
0.943 0.943 0.339

MnAsH3O5 | the Materials Project | GGA+U | relaxed; SG = P2_1, No. 4; total moment = 40.00 μB/cell; calculated total energy = -0.2202 hartree per atom
1.0
6.930 0.000 0.000
0.000 16.202 0.000
-0.828 0.000 8.044
Mn As H O
8 8 24 40
direct
0.096 0.000 0.394
0.164 0.612 0.355
0.346 0.092 0.095
0.398 0.479 0.155
0.602 0.979 0.845
0.654 0.592 0.905
0.836 0.112 0.645
0.904 0.500 0.606
0.110 0.943 0.802
0.150 0.633 0.907
0.329 0.148 0.686
0.407 0.458 0.603
0.593 0.958 0.397
0.671 0.648 0.314
0.850 0.133 0.093
0.890 0.443 0.198
0.057 0.181 0.898
0.064 0.870 0.144
0.107 0.373 0.737
0.131 0.803 0.872
0.136 0.787 0.401
0.165 0.739 0.578
0.358 0.290 0.623
0.375 0.305 0.101
0.385 0.911 0.591
0.386 0.220 0.349
0.390 0.354 0.927
0.440 0.716 0.767
0.560 0.216 0.233
0.610 0.854 0.073
0.614 0.720 0.651
0.615 0.411 0.409
0.625 0.805 0.899
0.642 0.790 0.377
0.835 0.239 0.422
0.864 0.287 0.599
0.869 0.303 0.128
0.893 0.873 0.263
0.936 0.370 0.856
0.943 0.681 0.102
0.038 0.878 0.261
0.055 0.082 0.175
0.072 0.854 0.921
0.093 0.674 0.102
0.101 0.498 0.199
0.135 0.096 0.585
0.165 0.913 0.608
0.179 0.735 0.457
0.206 0.718 0.794
0.211 0.523 0.564
0.278 0.179 0.880
0.303 0.995 0.905
0.343 0.374 0.715
0.348 0.570 0.947
0.356 0.235 0.560
0.387 0.007 0.312
0.399 0.358 0.050
0.415 0.210 0.232
0.460 0.593 0.312
0.466 0.416 0.409
0.534 0.916 0.591
0.540 0.093 0.688
0.585 0.710 0.768
0.601 0.858 0.950
0.613 0.507 0.688
0.644 0.735 0.440
0.652 0.070 0.053
0.657 0.874 0.285
0.697 0.495 0.095
0.722 0.679 0.120
0.789 0.023 0.436
0.794 0.218 0.206
0.821 0.235 0.543
0.835 0.413 0.392
0.865 0.596 0.415
0.899 0.998 0.801
0.907 0.174 0.898
0.928 0.354 0.079
0.945 0.582 0.825
0.962 0.378 0.739

BaPrInWO6 | the Materials Project | GGA+U | relaxed; SG = Pnnn, No. 48; total moment = 0.00 μB/cell; calculated total energy = -0.2574 hartree per atom
1.0
8.647 0.000 0.000
0.000 8.651 0.000
0.000 0.000 8.676
Ba Pr In W O
4 4 4 4 24
direct
0.250 0.250 0.250
0.250 0.250 0.750
0.750 0.750 0.250
0.750 0.750 0.750
0.000 0.000 0.000
0.000 0.500 0.500
0.500 0.000 0.500
0.500 0.500 0.000
0.250 0.750 0.250
0.250 0.750 0.750
0.750 0.250 0.250
0.750 0.250 0.750
0.000 0.000 0.500
0.000 0.500 0.000
0.500 0.000 0.000
0.500 0.500 0.500
0.012 0.725 0.025
0.012 0.775 0.475
0.013 0.524 0.775
0.013 0.976 0.725
0.226 0.028 0.489
0.226 0.472 0.011
0.274 0.028 0.011
0.274 0.472 0.489
0.487 0.524 0.725
0.487 0.976 0.775
0.488 0.725 0.475
0.488 0.775 0.025
0.512 0.225 0.975
0.512 0.275 0.525
0.513 0.024 0.225
0.513 0.476 0.275
0.726 0.528 0.511
0.726 0.972 0.989
0.774 0.528 0.989
0.774 0.972 0.511
0.987 0.024 0.275
0.987 0.476 0.225
0.988 0.225 0.525
0.988 0.275 0.975